1.
Cr3NiP4 | GGA-PBE | relaxed

Cell: 5.336 3.073 5.958 Å, 90.00 90.10 90.00°
Space group Pm (No. 6)
Symmetry-distinct sites (fractional):
Cr  0.000  0.000  0.000 [1 per cell]
Cr  0.015  0.500  0.387 [1 per cell]
Cr  0.500  0.000  0.902 [1 per cell]
Ni  0.513  0.500  0.499 [1 per cell]
P  0.191  0.500  0.758 [1 per cell]
P  0.314  0.000  0.264 [1 per cell]
P  0.700  0.500  0.130 [1 per cell]
P  0.820  0.000  0.631 [1 per cell]

2.
K3Cu2O4 | GGA-PBE | relaxed

Calculated values
- E (MP2020): -0.3565 Ry/atom

Cell: 6.218 9.129 10.985 Å, 90.00 90.00 90.00°
Space group Cmcm (No. 63)
Symmetry-distinct sites (fractional):
K  0.000  0.154  0.070 [8 per cell]
K  0.000  0.194  0.750 [4 per cell]
Cu  0.000  0.438  0.250 [4 per cell]
Cu  0.000  0.500  0.000 [4 per cell]
O  0.203  0.438  0.118 [16 per cell]

3.
YZrSb | GGA-PBE | relaxed

Calculated values
- E (MP2020): -0.5343 Ry/atom

Cell: 4.283 4.283 16.670 Å, 90.00 90.00 90.00°
Space group I4/mmm (No. 139)
Symmetry-distinct sites (fractional):
Y  0.000  0.000  0.177 [4 per cell]
Zr  0.000  0.500  0.000 [4 per cell]
Sb  0.000  0.000  0.367 [4 per cell]

4.
UI4 | GGA-PBE | relaxed

Calculated values
- E (MP2020): -0.3364 Ry/atom
- Magnetic moment: 8.00 μB/cell

Cell: 9.943 16.446 8.179 Å, 90.00 95.42 90.00°
Space group C2/c (No. 15)
Symmetry-distinct sites (fractional):
U  0.000  0.080  0.250 [4 per cell]
I  0.189  0.029  0.557 [8 per cell]
I  0.199  0.207  0.229 [8 per cell]

5.
KEuZrSnO6 | GGA-PBE | relaxed

Calculated values
- E (MP2020): -0.5968 Ry/atom
- Magnetic moment: 24.00 μB/cell

Cell: 8.303 8.303 8.303 Å, 90.00 90.00 90.00°
Space group F-43m (No. 216)
Symmetry-distinct sites (fractional):
K  0.000  0.000  0.000 [4 per cell]
Eu  0.000  0.000  0.500 [4 per cell]
Zr  0.250  0.250  0.750 [4 per cell]
Sn  0.250  0.250  0.250 [4 per cell]
O  0.002  0.250  0.250 [24 per cell]

6.
Ba2ZnGe2O7 | GGA-PBE | relaxed

Calculated values
- E (MP2020): -0.4896 Ry/atom
- Magnetic moment: 0.00 μB/cell

Cell: 8.483 8.483 5.645 Å, 90.00 90.00 90.00°
Space group P-42_1m (No. 113)
Symmetry-distinct sites (fractional):
Ba  0.165  0.335  0.493 [4 per cell]
Zn  0.000  0.000  0.000 [2 per cell]
Ge  0.141  0.641  0.961 [4 per cell]
O  0.000  0.500  0.842 [2 per cell]
O  0.080  0.816  0.813 [8 per cell]
O  0.139  0.639  0.270 [4 per cell]

| no. | energy of formation from the pure elements (meV per atom) |
| --- | --- |
| 1 | -517 |
| 2 | -1371 |
| 3 | -888 |
| 4 | -1100 |
| 5 | -2759 |
| 6 | -2580 |